## V2FeO6 (PBE with a Hubbard U)

Data for a relaxed V2FeO6 crystal.

Properties
E_form	-212	kJ per mole of atoms
crystal system	monoclinic
corrected total energy (MP2020 scheme)	-152.18	eV per cell
space-group type	C2/c, No. 15

a b c (Å): 6.888 6.885 5.917
angles (deg): 74.96 105.05 95.17
Sites, in units of the cell vectors:
O1 0.615 0.905 0.277
O2 0.805 0.040 0.856
O3 0.385 0.095 0.723
O4 0.960 0.195 0.356
O5 0.648 0.369 0.947
O6 0.195 0.960 0.144
O7 0.905 0.615 0.223
O8 0.631 0.352 0.447
O9 0.095 0.385 0.777
O10 0.369 0.648 0.553
O11 0.040 0.805 0.644
O12 0.352 0.631 0.053
Fe1 0.087 0.087 0.750
Fe2 0.913 0.913 0.250
V1 0.209 0.613 0.758
V2 0.613 0.209 0.742
V3 0.791 0.387 0.242
V4 0.387 0.791 0.258